Here is YbSi2Pd2 after structural relaxation from the Materials Project. Energies are from r2SCAN.

It has space group I4/mmm (No. 139), with a = 4.084 Å, b = 4.084 Å, c = 9.936 Å, α = 90.00°, β = 90.00° and γ = 90.00°. The inequivalent atoms are Yb at (0.000, 0.000, 0.000), Si at (0.000, 0.000, 0.385) and Pd at (0.000, 0.500, 0.250).

The density comes out at 8.859 g cm⁻³. For the total energy, the calculation gives -20.94 eV/atom. The calculation puts the formation energy from the elements at -942 meV/atom.

Here is NbVNi after structural relaxation from the Materials Project. Energies are from r2SCAN.

It has space group Amm2 (No. 38), with a = 8.069 Å, b = 4.895 Å, c = 8.467 Å, α = 90.00°, β = 90.00° and γ = 90.00°. The inequivalent atoms are Nb at (0.184, 0.000, 0.000), Nb at (0.305, 0.000, 0.335), V at (0.000, 0.000, 0.520), V at (0.500, 0.000, 0.847), V at (0.500, 0.247, 0.089), Ni at (0.000, 0.245, 0.271) and Ni at (0.244, 0.000, 0.676).

The density comes out at 8.045 g cm⁻³. For the total energy, the calculation gives -17.10 eV/atom. The calculation puts the formation energy from the elements at -165 meV/atom.

Here is Y2Al3Fe after structural relaxation from the Materials Project. Energies are from r2SCAN.

It has space group R-3m (No. 166, hexagonal axes), with a = 5.5388 Å, b = 5.5388 Å, c = 13.1447 Å, α = 90.00°, β = 90.00° and γ = 120.00°. The inequivalent atoms are Y at (0.0000, 0.0000, 0.1257), Al at (0.0000, 0.5000, 0.0000) and Fe at (0.0000, 0.0000, 0.5000).

The density comes out at 4.488 g cm⁻³. For the total energy, the calculation gives -12.97 eV/atom. The calculation puts the formation energy from the elements at -429 meV/atom.

Here is Cs7O after structural relaxation from the Materials Project. Energies are from r2SCAN.

It has space group P-6m2 (No. 187), with a = 16.6837 Å, b = 16.6837 Å, c = 9.3218 Å, α = 90.00°, β = 90.00° and γ = 120.00°. The inequivalent atoms are Cs at (0.0000, 0.0000, 0.0000), Cs at (0.1023, 0.5511, 0.5000), Cs at (0.1114, 0.2228, 0.5000), Cs at (0.2165, 0.4330, 0.0000), Cs at (0.3770, 0.1885, 0.2175), Cs at (0.5532, 0.1065, 0.0000), Cs at (0.6667, 0.3333, 0.2021) and O at (0.5056, 0.2528, 0.0000).

The density comes out at 2.098 g cm⁻³. For the total energy, the calculation gives -23.15 eV/atom. The calculation puts the formation energy from the elements at -437 meV/atom.

Here is Hg6BiAs4Cl7 after structural relaxation from the Materials Project. Energies are from r2SCAN.

It has space group Pa-3 (No. 205), with a = 12.311 Å, b = 12.311 Å, c = 12.311 Å, α = 90.00°, β = 90.00° and γ = 90.00°. The inequivalent atoms are Hg at (0.047, 0.186, 0.695), Bi at (0.000, 0.000, 0.000), As at (0.152, 0.652, 0.848), As at (0.233, 0.233, 0.233), Cl at (0.000, 0.000, 0.500) and Cl at (0.044, 0.551, 0.290).

The density comes out at 6.978 g cm⁻³. For the total energy, the calculation gives -25.93 eV/atom. The calculation puts the formation energy from the elements at -562 meV/atom.

Here is Cs3Li2Br5 after structural relaxation from the Materials Project. Energies are from r2SCAN.

It has space group Cm (No. 8), with a = 7.569 Å, b = 25.340 Å, c = 4.394 Å, α = 90.00°, β = 125.49° and γ = 90.00°. The inequivalent atoms are Cs at (0.000, 0.000, 0.000), Cs at (0.496, 0.122, 0.489), Li at (0.463, 0.284, 0.454), Br at (0.001, 0.500, 0.000), Br at (0.003, 0.118, 0.498) and Br at (0.060, 0.263, 0.051).

The density comes out at 3.931 g cm⁻³. For the total energy, the calculation gives -16.56 eV/atom. The calculation puts the formation energy from the elements at -1921 meV/atom.